A relaxed LiFePO4F crystal, computed with PBE+U.

a b c (Å): 5.2117 5.3656 7.3972
angles (deg): 106.77 108.76 97.88
Positions (direct):
Li (0.2688, 0.6138, 0.1874)
Li (0.7312, 0.3862, 0.8126)
Fe (0.0000, 0.0000, 0.0000)
Fe (0.0000, 0.0000, 0.5000)
P (0.3222, 0.6415, 0.7631)
P (0.6778, 0.3585, 0.2369)
O (0.3091, 0.3414, 0.6593)
O (0.6909, 0.6586, 0.3407)
O (0.3680, 0.2423, 0.0841)
O (0.7519, 0.2128, 0.3896)
O (0.6320, 0.7577, 0.9159)
O (0.2481, 0.7872, 0.6104)
O (0.1257, 0.6646, 0.8868)
O (0.8743, 0.3354, 0.1132)
F (0.1291, 0.9291, 0.2636)
F (0.8709, 0.0709, 0.7365)

=====

A relaxed Sr2AlGaW2O7 crystal, computed with PBE+U.

a b c (Å): 5.6865 6.1374 11.8013
angles (deg): 104.69 103.84 88.74
Positions (direct):
Sr (0.8805, 0.8142, 0.6965)
Sr (0.1483, 0.2170, 0.3305)
Sr (0.3482, 0.3634, 0.6916)
Sr (0.6536, 0.6155, 0.3168)
Al (0.3819, 0.5987, 0.9760)
Al (0.9525, 0.1235, 0.0534)
Ga (0.7205, 0.1678, 0.5066)
Ga (0.2285, 0.8294, 0.5049)
W (0.5826, 0.0704, 0.1455)
W (0.9225, 0.3891, 0.8582)
W (0.0931, 0.5855, 0.1431)
W (0.4519, 0.9307, 0.8520)
O (0.6095, 0.5982, 0.8924)
O (0.3920, 0.0923, 0.5017)
O (0.1549, 0.7075, 0.8715)
O (0.2172, 0.6315, 0.3536)
O (0.9405, 0.9188, 0.1480)
O (0.4312, 0.7398, 0.1332)
O (0.8924, 0.8958, 0.4971)
O (0.2538, 0.2497, 0.1420)
O (0.8169, 0.3595, 0.1580)
O (0.6913, 0.2283, 0.3551)
O (0.8411, 0.3907, 0.6454)
O (0.3394, 0.7404, 0.6458)
O (0.6664, 0.1243, 0.7889)
O (0.1813, 0.1556, 0.8041)

=====

A relaxed LiTiNiO4 crystal, computed with PBE+U.

a b c (Å): 5.7923 5.9285 5.7923
angles (deg): 118.13 88.37 61.47
Positions (direct):
Li (0.1310, 0.2500, 0.1190)
Li (0.8690, 0.7500, 0.8810)
Ti (0.0000, 0.0000, 0.5000)
Ti (0.5000, 0.5000, 0.5000)
Ni (0.5000, 0.0000, 0.5000)
Ni (0.5000, 0.5000, 0.0000)
O (0.2539, 0.5357, 0.2685)
O (0.2672, 0.9643, 0.7104)
O (0.7328, 0.0357, 0.2896)
O (0.7461, 0.4643, 0.7315)
O (0.2607, 0.9916, 0.2751)
O (0.7164, 0.5085, 0.2478)
O (0.7393, 0.0084, 0.7249)
O (0.2836, 0.4915, 0.7522)

=====

A relaxed MoOF4 crystal, computed with PBE+U.

a b c (Å): 17.8669 5.6504 8.1914
angles (deg): 88.61 90.00 90.00
Positions (direct):
Mo (0.6415, 0.7418, 0.4843)
Mo (0.1415, 0.2582, 0.0157)
Mo (0.3585, 0.2582, 0.5157)
Mo (0.8585, 0.7418, 0.9843)
Mo (0.6116, 0.2592, 0.1005)
Mo (0.1116, 0.7408, 0.3995)
Mo (0.3884, 0.7408, 0.8995)
Mo (0.8884, 0.2592, 0.6005)
O (0.6373, 0.5634, 0.6513)
O (0.1373, 0.4366, 0.8487)
O (0.3627, 0.4366, 0.3487)
O (0.8627, 0.5634, 0.1513)
O (0.5797, 0.0965, 0.9459)
O (0.0797, 0.9035, 0.5541)
O (0.4203, 0.9035, 0.0541)
O (0.9203, 0.0965, 0.4459)
F (0.7879, 0.3055, 0.5418)
F (0.2879, 0.6945, 0.9582)
F (0.2121, 0.6945, 0.4582)
F (0.7121, 0.3055, 0.0418)
F (0.9713, 0.2614, 0.7415)
F (0.4713, 0.7386, 0.7585)
F (0.0287, 0.7386, 0.2585)
F (0.5287, 0.2614, 0.2415)
F (0.9134, 0.5634, 0.5228)
F (0.4134, 0.4366, 0.9772)
F (0.0866, 0.4366, 0.4772)
F (0.5866, 0.5634, 0.0228)
F (0.8508, 0.0054, 0.7454)
F (0.3508, 0.9946, 0.7546)
F (0.1492, 0.9946, 0.2546)
F (0.6492, 0.0054, 0.2454)
F (0.7554, 0.7985, 0.9628)
F (0.2554, 0.2015, 0.5372)
F (0.2446, 0.2015, 0.0372)
F (0.7446, 0.7985, 0.4628)
F (0.9579, 0.7454, 0.9106)
F (0.4579, 0.2546, 0.5894)
F (0.0421, 0.2546, 0.0894)
F (0.5421, 0.7454, 0.4106)
F (0.8717, 0.0363, 0.0789)
F (0.3717, 0.9637, 0.4211)
F (0.1283, 0.9637, 0.9211)
F (0.6283, 0.0363, 0.5789)
F (0.8431, 0.5023, 0.8176)
F (0.3431, 0.4977, 0.6824)
F (0.1569, 0.4977, 0.1824)
F (0.6569, 0.5023, 0.3176)

=====

A relaxed Li3MnSiCO7 crystal, computed with PBE+U.

a b c (Å): 5.0640 8.5453 6.3170
angles (deg): 90.00 90.00 86.56
Positions (direct):
Li (0.7568, 0.1160, 0.2500)
Li (0.2435, 0.8841, 0.7500)
Li (0.2430, 0.2830, 0.0337)
Li (0.2430, 0.2830, 0.4663)
Li (0.7570, 0.7171, 0.5337)
Li (0.7570, 0.7171, 0.9663)
Mn (0.1945, 0.6693, 0.2500)
Mn (0.8052, 0.3307, 0.7500)
Si (0.7132, 0.4250, 0.2500)
Si (0.2867, 0.5750, 0.7500)
C (0.7302, 0.0280, 0.7500)
C (0.2700, 0.9719, 0.2500)
O (0.3610, 0.1107, 0.2500)
O (0.6393, 0.8892, 0.7500)
O (0.9777, 0.0521, 0.7500)
O (0.0224, 0.9479, 0.2500)
O (0.5595, 0.1511, 0.7500)
O (0.4405, 0.8488, 0.2500)
O (0.3888, 0.4413, 0.2500)
O (0.6110, 0.5587, 0.7500)
O (0.1752, 0.3991, 0.7500)
O (0.8247, 0.6009, 0.2500)
O (0.8278, 0.3117, 0.0533)
O (0.8278, 0.3117, 0.4467)
O (0.1721, 0.6883, 0.5533)
O (0.1721, 0.6883, 0.9467)

=====

A relaxed Sr6MgW4O18 crystal, computed with PBE+U.

a b c (Å): 8.8858 7.7027 6.8301
angles (deg): 87.21 85.73 73.68
Positions (direct):
Sr (0.2353, 0.8063, 0.6394)
Sr (0.0161, 0.3456, 0.7595)
Sr (0.5186, 0.7379, 0.0991)
Sr (0.4814, 0.2621, 0.9009)
Sr (0.9839, 0.6544, 0.2405)
Sr (0.7647, 0.1937, 0.3606)
Mg (0.5000, 0.0000, 0.5000)
W (0.8249, 0.8824, 0.8237)
W (0.3422, 0.3542, 0.3559)
W (0.1751, 0.1176, 0.1763)
W (0.6578, 0.6458, 0.6441)
O (0.1480, 0.8970, 0.2692)
O (0.0286, 0.7518, 0.8688)
O (0.5844, 0.9097, 0.7769)
O (0.1967, 0.5330, 0.5033)
O (0.1845, 0.1874, 0.4587)
O (0.2129, 0.3856, 0.1127)
O (0.4874, 0.5848, 0.7960)
O (0.4961, 0.7584, 0.4515)
O (0.7574, 0.9397, 0.0859)
O (0.2426, 0.0603, 0.9141)
O (0.5039, 0.2416, 0.5485)
O (0.8155, 0.8126, 0.5413)
O (0.5126, 0.4152, 0.2040)
O (0.7871, 0.6145, 0.8873)
O (0.8033, 0.4670, 0.4967)
O (0.4156, 0.0903, 0.2231)
O (0.9714, 0.2482, 0.1312)
O (0.8520, 0.1030, 0.7308)

=====

A relaxed Cs2Mo3P5O19 crystal, computed with PBE+U.

a b c (Å): 6.5965 9.9712 14.7846
angles (deg): 90.00 90.00 105.81
Positions (direct):
Cs (0.0000, 0.5000, 0.5000)
Cs (0.0000, 0.5000, 0.0000)
Cs (0.0446, 0.8627, 0.2500)
Cs (0.9554, 0.1373, 0.7500)
Mo (0.3788, 0.5341, 0.2500)
Mo (0.6212, 0.4659, 0.7500)
Mo (0.7179, 0.1446, 0.3740)
Mo (0.2821, 0.8554, 0.8740)
Mo (0.2821, 0.8554, 0.6260)
Mo (0.7179, 0.1446, 0.1260)
P (0.8373, 0.4456, 0.2500)
P (0.1627, 0.5544, 0.7500)
P (0.2679, 0.2369, 0.3977)
P (0.7321, 0.7631, 0.8977)
P (0.7321, 0.7631, 0.6023)
P (0.2679, 0.2369, 0.1023)
P (0.4904, 0.2104, 0.5660)
P (0.5096, 0.7896, 0.0660)
P (0.5096, 0.7896, 0.4340)
P (0.4904, 0.2104, 0.9340)
O (0.7000, 0.5474, 0.2500)
O (0.3000, 0.4526, 0.7500)
O (0.7964, 0.3544, 0.3373)
O (0.2036, 0.6456, 0.8373)
O (0.2036, 0.6456, 0.6627)
O (0.7964, 0.3544, 0.1627)
O (0.0631, 0.5426, 0.2500)
O (0.9369, 0.4574, 0.7500)
O (0.3045, 0.3767, 0.3519)
O (0.6955, 0.6233, 0.8519)
O (0.6955, 0.6233, 0.6481)
O (0.3045, 0.3767, 0.1481)
O (0.3955, 0.1393, 0.3627)
O (0.6045, 0.8607, 0.8627)
O (0.6045, 0.8607, 0.6373)
O (0.3955, 0.1393, 0.1373)
O (0.0347, 0.1554, 0.4031)
O (0.9653, 0.8446, 0.9031)
O (0.9653, 0.8446, 0.5969)
O (0.0347, 0.1554, 0.0969)
O (0.3436, 0.2784, 0.5022)
O (0.6564, 0.7216, 0.0022)
O (0.6564, 0.7216, 0.4978)
O (0.3436, 0.2784, 0.9978)
O (0.6819, 0.2015, 0.5079)
O (0.3181, 0.7985, 0.0079)
O (0.3181, 0.7985, 0.4921)
O (0.6819, 0.2015, 0.9921)
O (0.5607, 0.3090, 0.6441)
O (0.4393, 0.6910, 0.1441)
O (0.4393, 0.6910, 0.3559)
O (0.5607, 0.3090, 0.8559)
O (0.3530, 0.0676, 0.5942)
O (0.6470, 0.9324, 0.0942)
O (0.6470, 0.9324, 0.4058)
O (0.3530, 0.0676, 0.9058)
O (0.7358, 0.1063, 0.2500)
O (0.2642, 0.8937, 0.7500)

=====

A relaxed La2Mn2O5 crystal, computed with PBE+U.

a b c (Å): 5.7692 5.9377 8.8899
angles (deg): 109.48 71.06 89.97
Positions (direct):
La (0.3694, 0.1269, 0.2247)
La (0.5950, 0.8727, 0.7754)
La (0.8703, 0.5974, 0.2246)
La (0.0941, 0.4023, 0.7754)
Mn (0.2173, 0.7963, 0.5003)
Mn (0.0002, 0.9992, 0.9990)
Mn (0.4994, 0.5002, 0.0009)
Mn (0.7163, 0.2020, 0.4999)
O (0.3547, 0.1301, 0.5000)
O (0.8550, 0.8698, 0.4999)
O (0.2682, 0.2345, 0.9449)
O (0.2129, 0.7663, 0.0556)
O (0.7686, 0.2106, 0.9442)
O (0.7132, 0.7895, 0.0551)
O (0.9323, 0.2485, 0.2831)
O (0.2141, 0.7529, 0.7177)
O (0.4316, 0.5351, 0.2824)
O (0.7155, 0.4656, 0.7170)

=====

A relaxed SrMg6NiO8 crystal, computed with PBE+U.

a b c (Å): 8.6794 4.4902 4.4902
angles (deg): 90.00 90.00 90.00
Positions (direct):
Sr (0.5000, 0.0000, 0.0000)
Mg (0.0000, 0.5000, 0.5000)
Mg (0.5000, 0.5000, 0.5000)
Mg (0.2383, 0.0000, 0.5000)
Mg (0.7617, 0.0000, 0.5000)
Mg (0.2383, 0.5000, 0.0000)
Mg (0.7617, 0.5000, 0.0000)
Ni (0.0000, 0.0000, 0.0000)
O (0.2271, 0.0000, 0.0000)
O (0.7729, 0.0000, 0.0000)
O (0.2483, 0.5000, 0.5000)
O (0.7517, 0.5000, 0.5000)
O (0.0000, 0.0000, 0.5000)
O (0.5000, 0.0000, 0.5000)
O (0.0000, 0.5000, 0.0000)
O (0.5000, 0.5000, 0.0000)

=====

A relaxed LiCo2P3O12 crystal, computed with PBE+U.

a b c (Å): 8.7836 8.6704 14.7877
angles (deg): 54.58 90.00 90.00
Positions (direct):
Li (0.4749, 0.0238, 0.1825)
Li (0.0250, 0.5946, 0.6828)
Li (0.5251, 0.0238, 0.6825)
Li (0.9750, 0.5946, 0.1828)
Co (0.7019, 0.6302, 0.6203)
Co (0.2180, 0.3675, 0.8826)
Co (0.7973, 0.1338, 0.1178)
Co (0.2811, 0.8668, 0.3866)
Co (0.2027, 0.1338, 0.6178)
Co (0.7189, 0.8668, 0.8866)
Co (0.2981, 0.6302, 0.1203)
Co (0.7820, 0.3675, 0.3826)
P (0.9987, 0.5422, 0.4962)
P (0.8591, 0.2541, 0.8559)
P (0.1443, 0.9581, 0.1476)
P (0.3567, 0.7495, 0.6458)
P (0.6453, 0.0375, 0.3530)
P (0.5055, 0.4608, 0.0002)
P (0.0013, 0.5422, 0.9962)
P (0.8557, 0.9581, 0.6476)
P (0.1409, 0.2541, 0.3559)
P (0.3547, 0.0375, 0.8530)
P (0.6433, 0.7495, 0.1458)
P (0.4945, 0.4608, 0.5002)
O (0.3823, 0.6249, 0.4346)
O (0.5906, 0.4785, 0.5821)
O (0.3484, 0.2108, 0.8591)
O (0.6564, 0.9066, 0.1642)
O (0.9011, 0.5513, 0.5808)
O (0.8253, 0.1750, 0.9772)
O (0.0234, 0.3300, 0.8221)
O (0.2650, 0.9252, 0.2347)
O (0.0860, 0.7322, 0.4278)
O (0.9838, 0.9828, 0.1783)
O (0.1962, 0.1364, 0.0361)
O (0.7448, 0.4141, 0.7772)
O (0.2399, 0.5907, 0.7190)
O (0.6920, 0.8578, 0.4657)
O (0.4844, 0.0149, 0.3201)
O (0.5838, 0.2647, 0.0706)
O (0.5247, 0.6793, 0.6732)
O (0.3225, 0.8287, 0.5233)
O (0.7614, 0.0766, 0.2629)
O (0.3950, 0.4658, 0.9172)
O (0.8587, 0.7809, 0.6452)
O (0.0952, 0.5192, 0.9168)
O (0.1679, 0.1027, 0.3330)
O (0.8888, 0.3773, 0.0673)
O (0.6177, 0.6249, 0.9346)
O (0.3436, 0.9066, 0.6642)
O (0.4094, 0.4785, 0.0821)
O (0.6516, 0.2108, 0.3591)
O (0.0989, 0.5513, 0.0808)
O (0.7350, 0.9252, 0.7347)
O (0.1747, 0.1750, 0.4772)
O (0.9766, 0.3300, 0.3221)
O (0.9140, 0.7322, 0.9278)
O (0.0162, 0.9828, 0.6783)
O (0.8038, 0.1364, 0.5361)
O (0.2552, 0.4141, 0.2772)
O (0.7601, 0.5907, 0.2190)
O (0.3080, 0.8578, 0.9657)
O (0.5156, 0.0149, 0.8201)
O (0.4162, 0.2647, 0.5706)
O (0.2386, 0.0766, 0.7629)
O (0.4753, 0.6793, 0.1732)
O (0.6775, 0.8287, 0.0233)
O (0.6050, 0.4658, 0.4172)
O (0.8321, 0.1027, 0.8330)
O (0.1413, 0.7809, 0.1452)
O (0.9048, 0.5192, 0.4168)
O (0.1112, 0.3773, 0.5673)

=====

Number 1: total DFT energy (no corrections) -52.43 eV/f.u., ΔH_f (0 K) -2.550 eV per atom. Number 2: total DFT energy (no corrections) -84.41 eV/f.u., ΔH_f (0 K) -2.107 eV per atom. Number 3: total DFT energy (no corrections) -46.48 eV/f.u., ΔH_f (0 K) -2.342 eV per atom. Number 4: total DFT energy (no corrections) -32.75 eV/f.u., ΔH_f (0 K) -2.505 eV per atom. Number 5: total DFT energy (no corrections) -89.30 eV/f.u., ΔH_f (0 K) -2.431 eV per atom. Number 6: total DFT energy (no corrections) -202.22 eV/f.u., ΔH_f (0 K) -2.748 eV per atom. Number 7: total DFT energy (no corrections) -206.22 eV/f.u., ΔH_f (0 K) -2.534 eV per atom. Number 8: total DFT energy (no corrections) -72.62 eV/f.u., ΔH_f (0 K) -2.940 eV per atom. Number 9: total DFT energy (no corrections) -90.75 eV/f.u., ΔH_f (0 K) -2.633 eV per atom. Number 10: total DFT energy (no corrections) -116.19 eV/f.u., ΔH_f (0 K) -1.998 eV per atom.